A plane-wave DFT calculation with r2SCAN was carried out for a geometry-optimized Dy2BiO2 structure.

Geometry as POSCAR:
```
Dy2BiO2
1.0
-1.929 1.929 6.730
1.929 -1.929 6.730
1.929 1.929 -6.730
Dy Bi O
2 1 2
Direct
0.168 0.168 0.000
0.832 0.832 0.000
0.500 0.500 0.000
0.250 0.750 0.500
0.750 0.250 0.500
```

Density: 9.381 g cm⁻³
Calculated total energy: -29.871 eV/atom
E_form: -2.989 eV/atom
Total magnetization: 0.00 μB per formula unit